Entry 1:
Below is an optimized crystal structure of MgV2S4N6Cl4, with properties calculated at the PBE level.

formation enthalpy at 0 K: -0.48 eV/atom
total magnetization: 0.002 μB per atom
energy above the lowest structure with this stoichiometry: 0.0730 eV/atom
VASP energy: -0.430 Ry/atom
theoretical density: 2.3 g cm⁻³

Geometry as POSCAR:
```
MgV2S4N6Cl4
1.0
6.0598 0.0000 0.0000
-1.6006 7.4882 0.0000
-1.3238 -0.6130 7.6445
Mg V S N Cl
1 2 4 6 4
Direct
0.0000 0.0000 0.0000
0.3090 0.7413 0.6329
0.8270 0.4914 0.6667
0.2455 0.4472 0.9527
0.3571 0.0109 0.3468
0.7803 0.2669 0.9880
0.8989 0.7771 0.3407
0.0159 0.7014 0.5111
0.0680 0.2990 0.0345
0.0826 0.9247 0.2588
0.1342 0.5357 0.7898
0.4318 0.9091 0.5071
0.7083 0.3453 0.8083
0.2901 0.9810 0.8447
0.4554 0.5180 0.4827
0.7125 0.7473 0.8510
0.8624 0.2768 0.4644
```


Entry 2:
Below is an optimized crystal structure of RbHg11, with properties calculated at the PBE level.

formation enthalpy at 0 K: -0.09 eV/atom
VASP energy: -0.033 Ry/atom
theoretical density: 10.0 g cm⁻³

Geometry as POSCAR:
```
RbHg11
1.0
10.4509 0.0000 0.0000
0.0000 10.4509 0.0000
0.0000 0.0000 10.4509
Rb Hg
3 33
Direct
0.0000 0.0000 0.5000
0.0000 0.5000 0.0000
0.5000 0.0000 0.0000
0.0000 0.3456 0.3456
0.0000 0.3456 0.6544
0.0000 0.6544 0.3456
0.0000 0.6544 0.6544
0.1530 0.1530 0.1530
0.1530 0.1530 0.8470
0.1530 0.8470 0.1530
0.1530 0.8470 0.8470
0.2687 0.2687 0.5000
0.2687 0.5000 0.2687
0.2687 0.5000 0.7313
0.2687 0.7313 0.5000
0.3456 0.0000 0.3456
0.3456 0.0000 0.6544
0.3456 0.3456 0.0000
0.3456 0.6544 0.0000
0.5000 0.2687 0.2687
0.5000 0.2687 0.7313
0.5000 0.5000 0.5000
0.5000 0.7313 0.2687
0.5000 0.7313 0.7313
0.6544 0.0000 0.3456
0.6544 0.0000 0.6544
0.6544 0.3456 0.0000
0.6544 0.6544 0.0000
0.7313 0.2687 0.5000
0.7313 0.5000 0.2687
0.7313 0.5000 0.7313
0.7313 0.7313 0.5000
0.8470 0.1530 0.1530
0.8470 0.1530 0.8470
0.8470 0.8470 0.1530
0.8470 0.8470 0.8470
```


Entry 3:
Below is an optimized crystal structure of CeSmTl2, with properties calculated at the PBE level.

formation enthalpy at 0 K: -0.30 eV/atom
VASP energy: -0.305 Ry/atom
theoretical density: 10.1 g cm⁻³

Geometry as POSCAR:
```
CeSmTl2
1.0
0.0000 3.8637 3.8637
3.8637 0.0000 3.8637
3.8637 3.8637 0.0000
Ce Sm Tl
1 1 2
Direct
0.0000 0.0000 0.0000
0.5000 0.5000 0.5000
0.2500 0.2500 0.2500
0.7500 0.7500 0.7500
```


Entry 4:
Below is an optimized crystal structure of HfSnRh, with properties calculated at the PBE level.

formation enthalpy at 0 K: -0.71 eV/atom
total magnetization: 0.000 μB per atom
VASP energy: -0.575 Ry/atom
theoretical density: 11.6 g cm⁻³

Geometry as POSCAR:
```
HfSnRh
1.0
7.4024 0.0000 0.0000
-3.7012 6.4107 0.0000
0.0000 0.0000 3.6225
Hf Sn Rh
3 3 3
Direct
0.0000 0.6034 0.0000
0.3966 0.3966 0.0000
0.6034 0.0000 0.0000
0.0000 0.2688 0.5000
0.2688 0.0000 0.5000
0.7312 0.7312 0.5000
0.0000 0.0000 0.0000
0.3333 0.6667 0.5000
0.6667 0.3333 0.5000
```


Entry 5:
Below is an optimized crystal structure of PmHgRh2, with properties calculated at the PBE level.

formation enthalpy at 0 K: -0.40 eV/atom
VASP energy: -0.393 Ry/atom
theoretical density: 11.8 g cm⁻³

Geometry as POSCAR:
```
PmHgRh2
1.0
0.0000 3.3809 3.3809
3.3809 0.0000 3.3809
3.3809 3.3809 0.0000
Pm Hg Rh
1 1 2
Direct
0.0000 0.0000 0.0000
0.5000 0.5000 0.5000
0.2500 0.2500 0.2500
0.7500 0.7500 0.7500
```


Entry 6:
Below is an optimized crystal structure of Na4Ca2SnP4, with properties calculated at the PBE level.

formation enthalpy at 0 K: -0.61 eV/atom
total magnetization: 0.000 μB per atom
VASP energy: -0.279 Ry/atom
theoretical density: 2.5 g cm⁻³

Geometry as POSCAR:
```
Na4Ca2SnP4
1.0
4.7248 -8.1912 0.0000
4.7248 8.1912 0.0000
-0.2947 0.0000 7.1258
Na Ca Sn P
8 4 2 8
Direct
0.0731 0.9269 0.5000
0.3183 0.8551 0.1925
0.4945 0.6489 0.0361
0.6489 0.4945 0.5361
0.6486 0.9380 0.5195
0.8551 0.3183 0.6925
0.9269 0.0731 0.0000
0.9380 0.6486 0.0195
0.2533 0.3084 0.6913
0.2568 0.7284 0.6990
0.3084 0.2533 0.1913
0.7284 0.2568 0.1990
0.1268 0.4616 0.3097
0.4616 0.1268 0.8097
0.1310 0.4551 0.9534
0.1634 0.9810 0.9015
0.4126 0.5924 0.4532
0.4551 0.1310 0.4534
0.5924 0.4126 0.9532
0.5946 0.9718 0.9243
0.9718 0.5946 0.4243
0.9810 0.1634 0.4015
```